No. 1
LiAlVO4 | PBE+U | optimized geometry

**E_form**: -19.54 eV/f.u.
**V**: 279.6 Å³ per cell
**Excess energy over the best structure of this formula in the dataset**: 0.12 eV/f.u.
**Space-group type**: Pnma, No. 62
**Total energy**: -198.5 eV per cell
**M_tot**: 1.00 μB per formula unit

a = 2.9160 Å, b = 9.4356 Å, c = 10.1639 Å
α = 90.00°, β = 90.00°, γ = 90.00°
Last column: nearest neighbours and their distance in Å.
Fractional positions:
V (0.2500, 0.2712, 0.1565)  6 O 1.86-2.08
V (0.7500, 0.7288, 0.8435)  6 O 1.86-2.08
V (0.7500, 0.2288, 0.6565)  6 O 1.86-2.08
V (0.2500, 0.7712, 0.3435)  6 O 1.86-2.08
Al (0.7500, 0.9948, 0.1240)  6 O 1.89-1.97
Al (0.2500, 0.5052, 0.6240)  6 O 1.89-1.97
Al (0.7500, 0.4948, 0.3760)  6 O 1.89-1.97
Al (0.2500, 0.0052, 0.8760)  6 O 1.89-1.97
O (0.2500, 0.3525, 0.7458)  1 Al 1.90, 2 Li 2.06, 2 V 2.08
O (0.2500, 0.3975, 0.2974)  1 V 1.86, 2 Al 1.90
O (0.7500, 0.1025, 0.7974)  1 V 1.86, 2 Al 1.90
O (0.2500, 0.1009, 0.0397)  3 Al 1.89-1.97, 1 V 2.00
O (0.7500, 0.8587, 0.4356)  2 V 1.92, 1 Li 1.94
O (0.2500, 0.6009, 0.4603)  3 Al 1.89-1.97, 1 V 2.00
O (0.7500, 0.3991, 0.5397)  3 Al 1.89-1.97, 1 V 2.00
O (0.2500, 0.6413, 0.9356)  2 V 1.92, 1 Li 1.94
O (0.2500, 0.8525, 0.7542)  1 Al 1.90, 2 Li 2.06, 2 V 2.08
O (0.7500, 0.6475, 0.2542)  1 Al 1.90, 2 Li 2.06, 2 V 2.08
O (0.2500, 0.8975, 0.2026)  1 V 1.86, 2 Al 1.90
O (0.7500, 0.6025, 0.7026)  1 V 1.86, 2 Al 1.90
O (0.7500, 0.1475, 0.2458)  1 Al 1.90, 2 Li 2.06, 2 V 2.08
O (0.7500, 0.8991, 0.9603)  3 Al 1.89-1.97, 1 V 2.00
O (0.2500, 0.1413, 0.5644)  2 V 1.92, 1 Li 1.94
O (0.7500, 0.3587, 0.0644)  2 V 1.92, 1 Li 1.94
Li (0.7500, 0.9068, 0.6209)  3 O 1.94-2.06
Li (0.2500, 0.0932, 0.3791)  3 O 1.94-2.06
Li (0.2500, 0.5932, 0.1209)  3 O 1.94-2.06
Li (0.7500, 0.4068, 0.8791)  3 O 1.94-2.06

=====

No. 2
Sm4MgTi2Mn2O12 | PBE+U | optimized geometry

**E_form**: -66.08 eV/f.u.
**V**: 276.1 Å³ per cell
**Excess energy over the best structure of this formula in the dataset**: 0.37 eV/f.u.
**Space-group type**: P1, No. 1
**Total energy**: -168.5 eV per cell
**M_tot**: 8.00 μB per formula unit

a = 5.6087 Å, b = 5.7001 Å, c = 8.7182 Å
α = 90.95°, β = 96.46°, γ = 85.54°
Last column: nearest neighbours and their distance in Å.
Fractional positions:
Sm (0.4232, 0.4149, 0.8062)  5 O 2.28-2.41
Sm (0.5192, 0.5596, 0.2076)  5 O 2.25-2.42
Sm (0.9468, 0.0598, 0.2669)  5 O 2.27-2.54
Sm (0.0342, 0.9370, 0.7303)  4 O 2.28-2.42
Mn (0.4439, 0.0103, 0.0458)  5 O 2.08-2.30
Mn (0.1461, 0.5320, 0.4432)  4 O 2.06-2.17
O (0.1223, 0.4243, 0.2160)  1 Ti 2.04, 1 Mn 2.06
O (0.8358, 0.7771, 0.4645)  1 Mg 2.07, 1 Mn 2.17, 1 Ti 2.25
O (0.8391, 0.5935, 0.7900)  1 Ti 1.94, 1 Mg 2.00
O (0.3835, 0.6976, 0.6005)  1 Mn 2.07, 1 Ti 2.18, 1 Mg 2.21
O (0.3507, 0.9265, 0.2880)  1 Ti 2.00
O (0.1857, 0.2053, 0.5590)  1 Mn 2.12, 1 Ti 2.13
O (0.6588, 0.2910, 0.3883)  1 Mg 1.99, 1 Ti 2.18
O (0.6753, 0.2990, 0.0358)  1 Ti 2.17, 1 Mn 2.18, 2 Sm 2.29-2.39
O (0.7733, 0.7964, 0.0998)  1 Ti 2.11, 1 Mn 2.14, 2 Sm 2.27-2.32
O (0.1609, 0.2028, 0.9177)  1 Mn 2.08, 1 Ti 2.15, 2 Sm 2.28-2.30
O (0.6747, 0.1509, 0.6776)  1 Ti 1.94
O (0.2675, 0.7030, 0.9641)  1 Ti 2.12, 1 Mn 2.15, 1 Sm 2.31
Mg (0.7267, 0.4915, 0.5750)  5 O 1.99-2.21
Ti (0.5017, 0.0087, 0.4989)  3 O 1.94-2.13
Ti (0.9682, 0.5124, 0.9996)  5 O 1.94-2.15

=====

No. 3
BaSmCo2O6 | PBE+U | optimized geometry

**E_form**: -21.98 eV/f.u.
**V**: 117.6 Å³ per cell
**Excess energy over the best structure of this formula in the dataset**: 0.00 eV/f.u.
**Space-group type**: P4/mmm, No. 123
**Total energy**: -65.1 eV per cell
**M_tot**: 3.00 μB per formula unit

a = 3.8500 Å, b = 3.8500 Å, c = 7.9343 Å
α = 90.00°, β = 90.00°, γ = 90.00°
Last column: nearest neighbours and their distance in Å.
Fractional positions:
O (0.0000, 0.0000, 0.0000)  2 Co 1.96
O (0.5000, 0.0000, 0.7813)  2 Co 1.94
O (0.0000, 0.5000, 0.2187)  2 Co 1.94
O (0.0000, 0.0000, 0.5000)  2 Co 2.01
O (0.5000, 0.0000, 0.2187)  2 Co 1.94
O (0.0000, 0.5000, 0.7813)  2 Co 1.94
Ba (0.5000, 0.5000, 0.5000)  12 O 2.72-2.95
Sm (0.5000, 0.5000, 0.0000)  12 O 2.59-2.72
Co (0.0000, 0.0000, 0.7532)  6 O 1.94-2.01
Co (0.0000, 0.0000, 0.2468)  6 O 1.94-2.01